Computed, not measured: a relaxed USi2 crystal at the PBE level of DFT.

VASP energy	-7.693	eV/atom
energy of formation from the pure elements	-6.11	kcal/mol of atoms

a = 3.8956 Å, b = 3.8956 Å, c = 14.1248 Å
α = 90.00°, β = 90.00°, γ = 90.00°
Space group I4_1/amd (No. 141, origin choice 2)
Symmetry-distinct sites (fractional):
U (0.0000, 0.2500, 0.3750) [4 per cell]
Si (0.0000, 0.2500, 0.7934) [8 per cell]